Sn2Pd3Pt3: optimized geometry, PBE.

Cell lengths 4.0401, 4.0654, 8.0857 Å; angles 90.00, 90.00, 90.00 degrees
Element x y z (fractional)
1 Pd 0.5000 0.5000 0.7500
2 Pd 0.5000 0.5000 0.2500
3 Pd 0.0000 0.5000 0.5000
4 Pt 0.5000 0.0000 0.0000
5 Pt 0.5000 0.0000 0.5000
6 Pt 0.0000 0.5000 0.0000
7 Sn 0.0000 0.0000 0.7486
8 Sn 0.0000 0.0000 0.2514

Properties
space group = Pmmm, No. 47
energy = -45.5 eV/cell
energy of formation from the pure elements = -3.69 eV per formula unit

Pu3Pd4: optimized geometry, PBE.

Cell lengths 7.9775, 7.9775, 7.9775 Å; angles 114.38, 114.38, 114.38 degrees
Element x y z (fractional)
1 Pd 0.7801 0.4514 0.9424
2 Pd 0.5000 0.5000 0.5000
3 Pd 0.9424 0.7801 0.4514
4 Pd 0.4514 0.9424 0.7801
5 Pd 0.2199 0.5486 0.0576
6 Pd 0.5486 0.0576 0.2199
7 Pd 0.0000 0.0000 0.0000
8 Pd 0.0576 0.2199 0.5486
9 Pu 0.4049 0.2877 0.0276
10 Pu 0.5951 0.7123 0.9724
11 Pu 0.2877 0.0276 0.4049
12 Pu 0.0276 0.4049 0.2877
13 Pu 0.9724 0.5951 0.7123
14 Pu 0.7123 0.9724 0.5951

Properties
space group = R-3, No. 148
energy = -133.9 eV/cell
energy of formation from the pure elements = -3.44 eV per formula unit

PuPd: optimized geometry, PBE.

Cell lengths 4.6860, 4.6860, 4.6860 Å; angles 126.54, 116.85, 87.30 degrees
Element x y z (fractional)
1 Pd 0.6368 0.8868 0.7500
2 Pd 0.3632 0.1132 0.2500
3 Pu 0.9061 0.6561 0.2500
4 Pu 0.0939 0.3439 0.7500

Properties
space group = Imma, No. 74
energy = -39.6 eV/cell
energy of formation from the pure elements = -0.34 eV per formula unit

PuPd: optimized geometry, PBE.

Cell lengths 4.4401, 5.8652, 7.1293 Å; angles 90.00, 90.00, 90.00 degrees
Element x y z (fractional)
1 Pd 0.7500 0.1458 0.4541
2 Pd 0.2500 0.8542 0.5459
3 Pd 0.2500 0.6458 0.0459
4 Pd 0.7500 0.3542 0.9541
5 Pu 0.2500 0.1394 0.1757
6 Pu 0.7500 0.8606 0.8243
7 Pu 0.2500 0.3606 0.6757
8 Pu 0.7500 0.6394 0.3243

Properties
space group = Pnma, No. 62
energy = -81.4 eV/cell
energy of formation from the pure elements = -0.90 eV per formula unit

PuSi2Pd2: optimized geometry, PBE.

Cell lengths 5.9072, 5.9072, 5.9072 Å; angles 139.96, 139.96, 57.91 degrees
Element x y z (fractional)
1 Si 0.3888 0.3888 0.0000
2 Si 0.6112 0.6112 0.0000
3 Pd 0.7500 0.2500 0.5000
4 Pd 0.2500 0.7500 0.5000
5 Pu 0.0000 0.0000 0.0000

Properties
space group = I4/mmm, No. 139
energy = -39.2 eV/cell
energy of formation from the pure elements = -3.71 eV per formula unit

Rb2Pd: optimized geometry, PBE.

Cell lengths 5.8311, 5.8311, 5.8311 Å; angles 60.00, 60.00, 60.00 degrees
Element x y z (fractional)
1 Pd 0.0000 0.0000 0.0000
2 Rb 0.2500 0.2500 0.2500
3 Rb 0.7500 0.7500 0.7500

Properties
space group = Fm-3m, No. 225
energy = -6.8 eV/cell
energy of formation from the pure elements = 0.30 eV per formula unit